Record 1
Computed, not measured: an optimized crystal structure of Na10Y4Al4Si5S7O48 at the PBE level of DFT.

ΔE_f in meV per atom: -2677
Space-group type: P1, No. 1
Crystal system: triclinic
Electronic total energy in eV/atom: -6.71
E (MP2020) in eV/cell: -1669.482

Cell lengths 17.9901, 9.0351, 22.6648 Å; angles 89.59, 89.09, 120.05 degrees
Positions (direct):
O 0.2589 0.6907 0.2640
O 0.2714 0.6626 0.8622
O 0.9696 0.7628 0.7974
Na 0.5054 0.0016 0.0083
O 0.7465 0.8356 0.0719
Na 0.9919 0.9930 0.5055
O 0.3546 0.1426 0.0389
Al 0.6571 0.7124 0.5154
Al 0.4983 0.0195 0.1563
Na 0.1778 0.6598 0.1727
Si 0.1888 0.3298 0.0890
O 0.2551 0.3638 0.4159
O 0.3962 0.9954 0.6792
O 0.4193 0.3285 0.5303
Al 0.3390 0.3564 0.1883
S 0.6587 0.3011 0.7484
Na 0.9916 0.3551 0.7550
O 0.5731 0.1494 0.0941
O 0.2851 0.8710 0.4703
O 0.0600 0.4497 0.8550
O 0.5615 0.6305 0.3568
Si 0.5158 0.6676 0.4149
O 0.8106 0.1228 0.4204
S 0.6339 0.9879 0.2524
O 0.8208 0.5210 0.6369
S 0.8034 0.9520 0.4188
Na 0.6627 0.3006 0.9306
O 0.8394 0.1286 0.0342
Si 0.0039 0.3170 0.2514
O 0.0888 0.9824 0.9163
O 0.2504 0.1548 0.6374
Si 0.0110 0.3518 0.9170
S 0.6665 0.3813 0.4198
O 0.4943 0.8100 0.0996
S 0.1680 0.9717 0.9163
O 0.9030 0.9920 0.0840
Al 0.6593 0.6413 0.0184
O 0.4767 0.1396 0.3050
O 0.5971 0.2109 0.7008
Na 0.3269 0.9997 0.2501
O 0.2583 0.8739 0.0914
O 0.0911 0.5069 0.2599
Na 0.6617 0.0351 0.4245
O 0.7518 0.1545 0.6351
S 0.4911 0.6860 0.7458
O 0.9253 0.3173 0.5302
Si 0.9905 0.6868 0.7381
O 0.0714 0.6377 0.3611
O 0.4348 0.5683 0.0359
O 0.4136 0.0164 0.0984
Si 0.6678 0.3227 0.0834
Al 0.3393 0.3525 0.4835
O 0.7661 0.8244 0.7396
Na 0.4962 0.6225 0.2599
O 0.9866 0.1818 0.3039
Na 0.6698 0.3568 0.2456
O 0.7583 0.6779 0.9726
O 0.6871 0.8641 0.5722
O 0.1753 0.8925 0.8608
Si 0.4940 0.2802 0.2524
S 0.3198 0.6639 0.9139
Na 0.8304 0.6535 0.7388
Na 0.0056 0.0094 0.0020
O 0.4398 0.3683 0.6362
O 0.7254 0.3567 0.1417
O 0.9820 0.1709 0.5867
Na 0.3299 0.9833 0.5939
Na 0.4964 0.3490 0.7582
S 0.4785 0.3531 0.5791
O 0.5787 0.4701 0.2627
O 0.0744 0.6617 0.7445
O 0.2431 0.1493 0.9166
O 0.9444 0.5421 0.1398
O 0.8107 0.0721 0.1392
S 0.4856 0.6438 0.0899
O 0.9059 0.4986 0.7274
O 0.8173 0.4953 0.2491
Na 0.9931 0.6360 0.2647
O 0.0727 0.6616 0.0831
O 0.7110 0.2964 0.0235
O 0.2279 0.3316 0.0230
Si 0.3554 0.7120 0.2500
O 0.2564 0.6217 0.5873
O 0.9104 0.7716 0.3040
O 0.0239 0.2471 0.1896
Si 0.8338 0.6897 0.2559
Y 0.1681 0.6667 0.5206
Al 0.8304 0.3100 0.6815
S 0.1531 0.2908 0.7417
Na 0.6779 0.6577 0.1653
Y 0.5118 0.0079 0.6397
S 0.3381 0.0403 0.0949
O 0.6412 0.8318 0.2561
S 0.9862 0.6432 0.0853
O 0.0111 0.1706 0.9193
S 0.8089 0.6710 0.9218
Si 0.5218 0.3763 0.9164
O 0.5668 0.4613 0.8520
O 0.4425 0.5191 0.1412
Si 0.3510 0.0185 0.7383
Y 0.6705 0.6882 0.8108
O 0.1192 0.0358 0.3066
O 0.1808 0.8719 0.5807
O 0.0955 0.1946 0.6933
O 0.9318 0.3493 0.6371
Na 0.8225 0.9947 0.2570
O 0.0905 0.1644 0.0899
O 0.4253 0.3465 0.9179
O 0.5916 0.2049 0.4160
O 0.5791 0.4893 0.9723
S 0.6633 0.9517 0.9241
O 0.2543 0.8568 0.7464
O 0.0694 0.4563 0.9751
O 0.8424 0.1707 0.7323
O 0.9194 0.4779 0.4279
O 0.3446 0.1957 0.7349
Y 0.8314 0.3318 0.9859
O 0.9368 0.5499 0.0331
O 0.5964 0.0193 0.3067
O 0.1004 0.2018 0.4124
O 0.6637 0.8500 0.9747
O 0.5109 0.8461 0.4039
O 0.0713 0.6790 0.4790
Al 0.8422 0.3566 0.4862
O 0.7417 0.6834 0.2708
O 0.7579 0.8699 0.3639
O 0.1815 0.4790 0.3598
Al 0.3307 0.3231 0.6792
O 0.0608 0.4806 0.5829
Y 0.9960 0.9999 0.1582
Na 0.5120 0.3335 0.0880
O 0.9164 0.3338 0.9177
O 0.5837 0.9764 0.1999
O 0.4114 0.3136 0.2422
Na 0.8512 0.3180 0.8278
O 0.7364 0.1312 0.9244
O 0.5191 0.1894 0.9214
O 0.4842 0.1938 0.5801
O 0.6733 0.8838 0.8669
Y 0.1627 0.6657 0.8116
O 0.6747 0.4751 0.3623
O 0.3421 0.5184 0.2379
O 0.6033 0.0347 0.5743
Al 0.6463 0.6132 0.3194
Al 0.4834 0.9647 0.3459
O 0.1760 0.4996 0.0939
O 0.1670 0.4598 0.4674
O 0.7512 0.1783 0.5168
O 0.2410 0.1741 0.5192
S 0.3205 0.9665 0.4129
O 0.2411 0.3175 0.7327
O 0.8910 0.9742 0.4217
O 0.5649 0.5055 0.5714
S 0.3357 0.6079 0.5846
O 0.0140 0.8285 0.4161
O 0.7686 0.6673 0.8648
O 0.4853 0.7644 0.8010
O 0.4114 0.5158 0.7402
Na 0.1750 0.9933 0.7361
Al 0.0060 0.9940 0.6477
O 0.7237 0.1360 0.2480
Na 0.1865 0.3801 0.2402
O 0.3358 0.5130 0.6376
O 0.4167 0.7774 0.3069
Na 0.0200 0.7129 0.5862
O 0.8119 0.5093 0.9239
Y 0.4959 0.0157 0.8495
O 0.4214 0.4954 0.4302
Na 0.1722 0.6779 0.6695
Na 0.1603 0.3044 0.9308
O 0.5712 0.6545 0.0820
O 0.7437 0.3215 0.7376
Na 0.6858 0.7226 0.6540
O 0.1695 0.8517 0.2625
O 0.3255 0.1367 0.4171
O 0.2810 0.6849 0.9688
Na 0.3486 0.3308 0.8354
O 0.9073 0.0463 0.7999
O 0.2514 0.3345 0.1428
O 0.3197 0.5005 0.9151
O 0.4110 0.7836 0.5828
O 0.7554 0.6365 0.5729
S 0.1574 0.0019 0.2537
S 0.9726 0.3231 0.5839
O 0.6569 0.4737 0.4699
O 0.9178 0.3343 0.2470
O 0.8707 0.8145 0.1972
O 0.3330 0.1369 0.1455
Na 0.3540 0.3686 0.3394
Y 0.1713 0.6556 0.0220
Si 0.7013 0.0619 0.5755
Na 0.8468 0.3630 0.3414
O 0.2607 0.8732 0.3641
O 0.7573 0.8413 0.4712
O 0.5654 0.6539 0.7465
O 0.1209 0.1920 0.7984
Na 0.0235 0.3271 0.0841
O 0.9926 0.8114 0.0859
Y 0.9884 0.9850 0.3555
Na 0.5139 0.9944 0.4913
Si 0.1891 0.0657 0.5805
Y 0.8233 0.3311 0.1829
O 0.8962 0.8187 0.9238
O 0.5054 0.7969 0.6942
O 0.7462 0.3672 0.4219
Si 0.0160 0.6490 0.4192
O 0.6577 0.4955 0.0746
O 0.2428 0.1560 0.2426
O 0.9186 0.9887 0.6868
O 0.0896 0.0339 0.5880
O 0.8505 0.5369 0.5306
O 0.0993 0.9609 0.2029
S 0.8316 0.6201 0.5817
O 0.4029 0.8505 0.1958
S 0.1756 0.3771 0.4138
Y 0.3399 0.3368 0.9874
O 0.9122 0.7935 0.5843
Si 0.8574 0.0074 0.7368
Na 0.1642 0.0151 0.4277
O 0.1679 0.8747 0.9690
O 0.5827 0.9599 0.9237
O 0.3387 0.5250 0.5294
O 0.1583 0.4592 0.7447
O 0.0149 0.8240 0.6825
O 0.4061 0.9840 0.4048
O 0.4146 0.0570 0.7950
O 0.6668 0.4726 0.7513
O 0.6244 0.2045 0.8052
Al 0.1611 0.6458 0.3166
Y 0.9886 0.9877 0.8466
O 0.5819 0.7184 0.4702
O 0.4091 0.8086 0.9118
S 0.8233 0.0036 0.0826
O 0.5174 0.2128 0.1920

***

Record 2
Computed, not measured: an optimized crystal structure of PtF4 at the PBE level of DFT.

Piezoelectric modulus e_max in C/m2: 0.741
ΔE_f in meV per atom: -1568
Polymorph energy (0 for the lowest one) in meV/atom: 0
Space-group type: Fdd2, No. 43
Crystal system: orthorhombic
Electronic total energy in eV/atom: -3.94
E (MP2020) in eV/cell: -43.137

Cell lengths 6.7757, 5.6905, 5.6042 Å; angles 73.72, 53.72, 52.56 degrees
Positions (direct):
F 0.2838 0.5336 0.4883
Pt 0.9967 0.5033 0.5033
F 0.7585 0.0594 0.0135
F 0.6944 0.4883 0.5336
F 0.1687 0.0135 0.0594
F 0.7617 0.5556 0.9662
F 0.7164 0.9662 0.5556
F 0.2365 0.0813 0.4915
F 0.1906 0.4915 0.0813
Pt 0.7467 0.2533 0.2533

***

Record 3
Computed, not measured: an optimized crystal structure of LaMg at the PBE level of DFT.

ΔE_f in meV per atom: -8
Polymorph energy (0 for the lowest one) in meV/atom: 102
Space-group type: Amm2, No. 38
Crystal system: orthorhombic
Electronic total energy in eV/atom: -3.28

Cell lengths 6.1275, 6.1275, 5.6510 Å; angles 90.00, 90.00, 120.56 degrees
Positions (direct):
La 0.0258 0.0258 0.5000
La 0.6437 0.9984 0.0000
Mg 0.3322 0.3322 0.0000
Mg 0.3347 0.6653 0.5000
Mg 0.6653 0.3347 0.5000
La 0.9984 0.6437 0.0000

***

Record 4
Computed, not measured: an optimized crystal structure of Cu2C4NCl5 at the PBE level of DFT.

ΔE_f in meV per atom: 297
Polymorph energy (0 for the lowest one) in meV/atom: 295
Space-group type: P2_1/c, No. 14
Crystal system: monoclinic
Electronic total energy in eV/atom: -4.67
E (MP2020) in eV/cell: -236.535

Cell lengths 18.1678, 6.1004, 10.6219 Å; angles 79.77, 90.00, 90.00 degrees
Positions (direct):
C 0.6202 0.2496 0.9351
Cu 0.9634 0.3225 0.9074
C 0.1908 0.5955 0.5316
Cu 0.0932 0.1191 0.1948
Cu 0.4068 0.1191 0.6948
Cl 0.0153 0.0597 0.8094
Cl 0.2419 0.2591 0.7321
Cl 0.4197 0.4497 0.4600
Cu 0.5366 0.3225 0.4074
C 0.3440 0.6563 0.1800
C 0.1202 0.7504 0.5649
N 0.6562 0.2352 0.0479
Cu 0.0366 0.6775 0.0926
Cl 0.9197 0.5503 0.0400
Cl 0.4351 0.3751 0.8007
Cl 0.0803 0.4497 0.9600
Cu 0.5932 0.8809 0.3052
C 0.8092 0.4045 0.4684
Cl 0.1480 0.8720 0.0991
Cl 0.3520 0.8720 0.5991
N 0.1562 0.7648 0.4521
C 0.6560 0.3437 0.8200
Cl 0.8520 0.1280 0.9009
Cl 0.5153 0.9403 0.6906
Cl 0.5649 0.6249 0.1993
Cl 0.7419 0.7409 0.7679
Cl 0.7581 0.7409 0.2679
Cl 0.5803 0.5503 0.5400
Cl 0.0649 0.3751 0.3007
C 0.3092 0.5955 0.0316
C 0.3101 0.4639 0.1525
C 0.8798 0.2496 0.4351
C 0.8101 0.5361 0.3475
C 0.6899 0.5361 0.8475
C 0.1560 0.6563 0.6800
Cl 0.4847 0.0597 0.3094
Cl 0.9351 0.6249 0.6993
C 0.8440 0.3437 0.3200
Cl 0.9847 0.9403 0.1906
C 0.1899 0.4639 0.6525
N 0.8438 0.2352 0.5479
Cl 0.2581 0.2591 0.2321
Cu 0.4634 0.6775 0.5926
N 0.3438 0.7648 0.9521
Cu 0.9068 0.8809 0.8052
C 0.6908 0.4045 0.9684
C 0.3798 0.7504 0.0649
Cl 0.6480 0.1280 0.4009